# Co2S3N2O12

Crystalline Co2S3N2O12 at its relaxed geometry (PBE with a Hubbard U, the Materials Project database).

Lattice parameters (Å, degrees): 9.9066 9.9066 9.9066 90.00 90.00 90.00
With the nearest neighbours (Å) after each atom.
Positions (direct):
Co (0.6631, 0.8369, 0.1631)  6 O 2.01-2.03
Co (0.3369, 0.3369, 0.3369)  6 O 2.01-2.03
Co (0.5997, 0.5997, 0.5997)  6 O 2.04
Co (0.9003, 0.4003, 0.0997)  6 O 2.04
Co (0.1631, 0.6631, 0.8369)  6 O 2.01-2.03
Co (0.4003, 0.0997, 0.9003)  6 O 2.04
Co (0.8369, 0.1631, 0.6631)  6 O 2.01-2.03
Co (0.0997, 0.9003, 0.4003)  6 O 2.04
O (0.5034, 0.9402, 0.2335)  1 S 1.49
O (0.9272, 0.8322, 0.4888)  1 S 1.49
O (0.6678, 0.5112, 0.4272)  1 S 1.49
O (0.4966, 0.4402, 0.2665)  1 S 1.49
O (0.1678, 0.9888, 0.5728)  1 S 1.49
O (0.0995, 0.8391, 0.7536)  1 S 1.49
O (0.9402, 0.2335, 0.5034)  1 S 1.49
O (0.9966, 0.0598, 0.7335)  1 S 1.49
O (0.7536, 0.0995, 0.8391)  1 S 1.49
O (0.4888, 0.9272, 0.8322)  1 S 1.49
O (0.4402, 0.2665, 0.4966)  1 S 1.49
O (0.5112, 0.4272, 0.6678)  1 S 1.49
O (0.8045, 0.2271, 0.0414)  1 S 1.46
O (0.3322, 0.0112, 0.0728)  1 S 1.49
O (0.2729, 0.9586, 0.3045)  1 S 1.46
O (0.4005, 0.1609, 0.2536)  1 S 1.49
O (0.2335, 0.5034, 0.9402)  1 S 1.49
O (0.7464, 0.9005, 0.3391)  1 S 1.49
O (0.2271, 0.0414, 0.8045)  1 S 1.46
O (0.2464, 0.5995, 0.6609)  1 S 1.49
O (0.8322, 0.4888, 0.9272)  1 S 1.49
O (0.5995, 0.6609, 0.2464)  1 S 1.49
O (0.2665, 0.4966, 0.4402)  1 S 1.49
O (0.0112, 0.0728, 0.3322)  1 S 1.49
O (0.7665, 0.0034, 0.5598)  1 S 1.49
O (0.9586, 0.3045, 0.2729)  1 S 1.46
O (0.6609, 0.2464, 0.5995)  1 S 1.49
O (0.7271, 0.4586, 0.1955)  1 S 1.46
O (0.0598, 0.7335, 0.9966)  1 S 1.49
O (0.3045, 0.2729, 0.9586)  1 S 1.46
O (0.4272, 0.6678, 0.5112)  1 S 1.49
O (0.2536, 0.4005, 0.1609)  1 S 1.49
O (0.0728, 0.3322, 0.0112)  1 S 1.49
O (0.0414, 0.8045, 0.2271)  1 S 1.46
O (0.7335, 0.9966, 0.0598)  1 S 1.49
O (0.1955, 0.7271, 0.4586)  1 S 1.46
O (0.5598, 0.7665, 0.0034)  1 S 1.49
O (0.5414, 0.6955, 0.7729)  1 S 1.46
O (0.6955, 0.7729, 0.5414)  1 S 1.46
O (0.8391, 0.7536, 0.0995)  1 S 1.49
O (0.0034, 0.5598, 0.7665)  1 S 1.49
O (0.7729, 0.5414, 0.6955)  1 S 1.46
O (0.1609, 0.2536, 0.4005)  1 S 1.49
O (0.4586, 0.1955, 0.7271)  1 S 1.46
O (0.3391, 0.7464, 0.9005)  1 S 1.49
O (0.5728, 0.1678, 0.9888)  1 S 1.49
O (0.9005, 0.3391, 0.7464)  1 S 1.49
O (0.9888, 0.5728, 0.1678)  1 S 1.49
S (0.6239, 0.5176, 0.2834)  4 O 1.46-1.49
S (0.4824, 0.7834, 0.8761)  4 O 1.46-1.49
S (0.5176, 0.2834, 0.6239)  4 O 1.46-1.49
S (0.2166, 0.3761, 0.0176)  4 O 1.46-1.49
S (0.9824, 0.7166, 0.1239)  4 O 1.46-1.49
S (0.7834, 0.8761, 0.4824)  4 O 1.46-1.49
S (0.0176, 0.2166, 0.3761)  4 O 1.46-1.49
S (0.7166, 0.1239, 0.9824)  4 O 1.46-1.49
S (0.2834, 0.6239, 0.5176)  4 O 1.46-1.49
S (0.1239, 0.9824, 0.7166)  4 O 1.46-1.49
S (0.3761, 0.0176, 0.2166)  4 O 1.46-1.49
S (0.8761, 0.4824, 0.7834)  4 O 1.46-1.49
N (0.0479, 0.0479, 0.0479)  9 O 2.85-3.16
N (0.9521, 0.5479, 0.4521)  9 O 2.85-3.16
N (0.4521, 0.9521, 0.5479)  9 O 2.85-3.16
N (0.1834, 0.3166, 0.6834)  12 O 2.88-3.18
N (0.8166, 0.8166, 0.8166)  12 O 2.88-3.18
N (0.3166, 0.6834, 0.1834)  12 O 2.88-3.18
N (0.6834, 0.1834, 0.3166)  12 O 2.88-3.18
N (0.5479, 0.4521, 0.9521)  9 O 2.85-3.16

Summary:
As for the calculated volume: 12.8 A^3/atom. The calculation puts the formation energy from the elements at -0.860 eV/atom. The calculation puts the total energy at -5.658 eV/atom. The corrected total energy (MP2020 scheme) comes out at -476.07 eV for the cell shown.